TiZnCoP3O12 after structural relaxation. Source: Materials Project, functional GGA+U.

## Properties
**V**: 444.44 Å³ per cell
**E**: -254.02 eV for the cell shown

Structure (POSCAR):
```
TiZnCoP3O12
1.0
4.313 2.490 6.898
-4.313 2.490 6.898
0.000 -4.980 6.898
Ti Zn Co P O
2 2 2 6 24
direct
0.000 0.000 0.000 Ti
0.500 0.500 0.500 Ti
0.149 0.149 0.149 Zn
0.649 0.649 0.649 Zn
0.291 0.291 0.291 Co
0.791 0.791 0.791 Co
0.098 0.393 0.688 P
0.188 0.893 0.598 P
0.393 0.688 0.098 P
0.598 0.188 0.893 P
0.688 0.098 0.393 P
0.893 0.598 0.188 P
0.033 0.824 0.638 O
0.055 0.405 0.205 O
0.089 0.230 0.885 O
0.138 0.324 0.533 O
0.140 0.957 0.764 O
0.205 0.055 0.405 O
0.230 0.885 0.089 O
0.264 0.457 0.640 O
0.324 0.533 0.138 O
0.385 0.730 0.589 O
0.405 0.205 0.055 O
0.457 0.640 0.264 O
0.533 0.138 0.324 O
0.555 0.705 0.905 O
0.589 0.385 0.730 O
0.638 0.033 0.824 O
0.640 0.264 0.457 O
0.705 0.905 0.555 O
0.730 0.589 0.385 O
0.764 0.140 0.957 O
0.824 0.638 0.033 O
0.885 0.089 0.230 O
0.905 0.555 0.705 O
0.957 0.764 0.140 O
```